DFT (PBE-GGA) results for crystalline CaP2O6 at its relaxed geometry.

The calculation puts the total moment at 0.00 Bohr magnetons per cell.

a b c (Å): 12.3003 12.3003 6.8460
angles (deg): 92.66 92.66 111.31
Element x y z (fractional)
Ca1 0.0558 0.9442 0.5000
Ca2 0.0625 0.4441 0.9952
Ca3 0.4355 0.5665 0.0066
Ca4 0.4441 0.0625 0.4952
Ca5 0.5548 0.9353 0.0109
Ca6 0.5665 0.4355 0.5066
Ca7 0.9353 0.5548 0.5109
Ca8 0.9442 0.0558 0.0000
P1 0.0964 0.2361 0.3728
P2 0.1257 0.7422 0.8363
P3 0.2361 0.0964 0.8728
P4 0.2421 0.5942 0.3602
P5 0.2544 0.9143 0.1576
P6 0.2778 0.4149 0.6287
P7 0.3706 0.7726 0.6733
P8 0.4149 0.2778 0.1287
P9 0.5942 0.2421 0.8602
P10 0.6302 0.7409 0.3310
P11 0.7409 0.6302 0.8310
P12 0.7422 0.1257 0.3363
P13 0.7636 0.8721 0.6908
P14 0.7726 0.3706 0.1733
P15 0.8721 0.7636 0.1908
P16 0.9143 0.2544 0.6576
O1 0.0041 0.2183 0.5359
O2 0.0553 0.6130 0.8353
O3 0.0703 0.8140 0.7296
O4 0.0833 0.1140 0.2996
O5 0.0861 0.3181 0.2257
O6 0.1140 0.0833 0.7996
O7 0.1206 0.5793 0.4077
O8 0.1636 0.7899 0.0632
O9 0.2019 0.4291 0.7848
O10 0.2183 0.0041 0.0359
O11 0.2195 0.2909 0.5033
O12 0.2254 0.9295 0.3659
O13 0.2487 0.7625 0.7513
O14 0.2630 0.5816 0.1464
O15 0.2909 0.2195 0.0033
O16 0.2916 0.5068 0.4657
O17 0.3181 0.0861 0.7257
O18 0.3352 0.7193 0.4500
O19 0.3792 0.9275 0.1350
O20 0.4006 0.4276 0.6963
O21 0.4232 0.7027 0.7927
O22 0.4276 0.4006 0.1963
O23 0.4291 0.2019 0.2848
O24 0.4458 0.9002 0.6701
O25 0.5068 0.2916 0.9657
O26 0.5456 0.7658 0.1905
O27 0.5793 0.1206 0.9077
O28 0.5816 0.2630 0.6464
O29 0.5929 0.6195 0.3973
O30 0.6130 0.0553 0.3353
O31 0.6195 0.5929 0.8973
O32 0.6630 0.8370 0.5153
O33 0.7027 0.4232 0.2927
O34 0.7193 0.3352 0.9500
O35 0.7214 0.9206 0.8645
O36 0.7513 0.7786 0.2284
O37 0.7625 0.2487 0.2513
O38 0.7658 0.5456 0.6905
O39 0.7786 0.7513 0.7284
O40 0.7899 0.1636 0.5632
O41 0.8140 0.0703 0.2296
O42 0.8370 0.6630 0.0153
O43 0.8811 0.9503 0.6303
O44 0.9002 0.4458 0.1701
O45 0.9206 0.7214 0.3645
O46 0.9275 0.3792 0.6350
O47 0.9295 0.2254 0.8659
O48 0.9503 0.8811 0.1303


DFT (PBE-GGA) results for crystalline Mg6Si5 at its relaxed geometry.

The calculation puts the total moment at 0.00 Bohr magnetons per cell. The polymorph energy (0 for the lowest one) is 78 meV per atom.

a b c (Å): 6.8266 4.0384 15.2174
angles (deg): 90.00 95.01 90.00
Element x y z (fractional)
Mg1 0.0000 0.0000 0.0000
Mg2 0.0095 0.0000 0.5488
Mg3 0.2244 0.5000 0.8841
Mg4 0.2793 0.5000 0.0924
Mg5 0.3355 0.0000 0.3944
Mg6 0.5035 0.0000 0.9952
Mg7 0.5413 0.0000 0.6074
Mg8 0.6637 0.5000 0.4615
Mg9 0.7448 0.5000 0.9078
Mg10 0.7783 0.5000 0.1321
Mg11 0.8160 0.0000 0.3187
Mg12 0.9353 0.0000 0.7687
Si1 0.0342 0.5000 0.4183
Si2 0.0903 0.0000 0.1826
Si3 0.1401 0.5000 0.2735
Si4 0.2058 0.5000 0.6847
Si5 0.3004 0.5000 0.5313
Si6 0.3740 0.0000 0.7713
Si7 0.4979 0.0000 0.1811
Si8 0.5084 0.5000 0.2811
Si9 0.5998 0.5000 0.7440
Si10 0.8367 0.5000 0.6377


DFT (PBE-GGA) results for crystalline ErP5O14 at its relaxed geometry.

The calculation puts the total moment at 0.00 Bohr magnetons per cell. The polymorph energy (0 for the lowest one) is 9 meV per atom.

a b c (Å): 8.7950 12.7652 9.1526
angles (deg): 90.00 90.00 90.00
Element x y z (fractional)
Er1 0.0212 0.2500 0.0548
Er2 0.4788 0.7500 0.5548
Er3 0.5212 0.2500 0.4452
Er4 0.9788 0.7500 0.9452
P1 0.0093 0.5812 0.2950
P2 0.0093 0.9188 0.2950
P3 0.0738 0.7500 0.5031
P4 0.2426 0.5711 0.7725
P5 0.2426 0.9289 0.7725
P6 0.2574 0.0711 0.2725
P7 0.2574 0.4289 0.2725
P8 0.4262 0.2500 0.0031
P9 0.4907 0.0812 0.7950
P10 0.4907 0.4188 0.7950
P11 0.5093 0.5812 0.2050
P12 0.5093 0.9188 0.2050
P13 0.5738 0.7500 0.9969
P14 0.7426 0.5711 0.7275
P15 0.7426 0.9289 0.7275
P16 0.7574 0.0711 0.2275
P17 0.7574 0.4289 0.2275
P18 0.9262 0.2500 0.4969
P19 0.9907 0.0812 0.7050
P20 0.9907 0.4188 0.7050
O1 0.0091 0.6343 0.1517
O2 0.0091 0.8657 0.1517
O3 0.0238 0.1531 0.5691
O4 0.0238 0.3469 0.5691
O5 0.0387 0.7500 0.6612
O6 0.1147 0.5063 0.6811
O7 0.1147 0.9937 0.6811
O8 0.1580 0.1217 0.1612
O9 0.1580 0.3783 0.1612
O10 0.1634 0.5265 0.3430
O11 0.1634 0.9735 0.3430
O12 0.1704 0.6302 0.8941
O13 0.1704 0.8698 0.8941
O14 0.2311 0.7500 0.4405
O15 0.2689 0.2500 0.9405
O16 0.3296 0.1302 0.3941
O17 0.3296 0.3698 0.3941
O18 0.3366 0.0265 0.8430
O19 0.3366 0.4735 0.8430
O20 0.3420 0.6217 0.6612
O21 0.3420 0.8783 0.6612
O22 0.3853 0.0063 0.1811
O23 0.3853 0.4937 0.1811
O24 0.4613 0.2500 0.1612
O25 0.4762 0.6531 0.0691
O26 0.4762 0.8469 0.0691
O27 0.4909 0.1343 0.6517
O28 0.4909 0.3657 0.6517
O29 0.5091 0.6343 0.3483
O30 0.5091 0.8657 0.3483
O31 0.5238 0.1531 0.9309
O32 0.5238 0.3469 0.9309
O33 0.5387 0.7500 0.8388
O34 0.6147 0.5063 0.8189
O35 0.6147 0.9937 0.8189
O36 0.6580 0.1217 0.3388
O37 0.6580 0.3783 0.3388
O38 0.6634 0.5265 0.1570
O39 0.6634 0.9735 0.1570
O40 0.6704 0.6302 0.6059
O41 0.6704 0.8698 0.6059
O42 0.7311 0.7500 0.0595
O43 0.7689 0.2500 0.5595
O44 0.8296 0.1302 0.1059
O45 0.8296 0.3698 0.1059
O46 0.8366 0.0265 0.6570
O47 0.8366 0.4735 0.6570
O48 0.8420 0.6217 0.8388
O49 0.8420 0.8783 0.8388
O50 0.8853 0.0063 0.3189
O51 0.8853 0.4937 0.3189
O52 0.9613 0.2500 0.3388
O53 0.9762 0.6531 0.4309
O54 0.9762 0.8469 0.4309
O55 0.9909 0.1343 0.8483
O56 0.9909 0.3657 0.8483


DFT (PBE-GGA) results for crystalline Tm2CdS4 at its relaxed geometry.

a b c (Å): 7.9095 7.9095 7.9095
angles (deg): 60.00 60.00 60.00
Element x y z (fractional)
Tm1 0.0000 0.0000 0.0000
Tm2 0.0000 0.0000 0.5000
Tm3 0.0000 0.5000 0.0000
Tm4 0.5000 0.0000 0.0000
Cd1 0.3750 0.3750 0.3750
Cd2 0.6250 0.6250 0.6250
S1 0.2252 0.7583 0.7583
S2 0.2417 0.2417 0.2417
S3 0.2417 0.2417 0.7748
S4 0.2417 0.7748 0.2417
S5 0.7583 0.2252 0.7583
S6 0.7583 0.7583 0.2252
S7 0.7583 0.7583 0.7583
S8 0.7748 0.2417 0.2417


DFT (PBE-GGA) results for crystalline Y2GaN3 at its relaxed geometry.

The calculation puts the total moment at 0.00 Bohr magnetons per cell. The polymorph energy (0 for the lowest one) is 5 meV per atom.

a b c (Å): 5.9370 5.9370 11.4280
angles (deg): 91.84 91.84 123.81
Element x y z (fractional)
Y1 0.0283 0.4479 0.8516
Y2 0.1127 0.3288 0.4273
Y3 0.3288 0.1127 0.9273
Y4 0.4479 0.0283 0.3516
Y5 0.5521 0.9717 0.6484
Y6 0.6712 0.8873 0.0727
Y7 0.8873 0.6712 0.5727
Y8 0.9717 0.5521 0.1484
Ga1 0.2729 0.2788 0.6619
Ga2 0.2788 0.2729 0.1619
Ga3 0.7212 0.7271 0.8381
Ga4 0.7271 0.7212 0.3381
N1 0.0263 0.9737 0.2500
N2 0.0980 0.3032 0.0240
N3 0.1610 0.5255 0.6249
N4 0.3032 0.0980 0.5240
N5 0.3881 0.6119 0.2500
N6 0.4745 0.8390 0.8751
N7 0.5255 0.1610 0.1249
N8 0.6119 0.3881 0.7500
N9 0.6968 0.9020 0.4760
N10 0.8390 0.4745 0.3751
N11 0.9020 0.6968 0.9760
N12 0.9737 0.0263 0.7500


DFT (PBE-GGA) results for crystalline LiIrRh at its relaxed geometry.

The calculation puts the total moment at 0.01 Bohr magnetons per cell.

a b c (Å): 3.9068 3.9068 3.9068
angles (deg): 60.00 60.00 60.00
Element x y z (fractional)
Li1 0.0000 0.0000 0.0000
Ir1 0.2500 0.2500 0.2500
Rh1 0.7500 0.7500 0.7500


DFT (PBE-GGA) results for crystalline Na2InCuF6 at its relaxed geometry.

The calculation puts the total moment at 0.06 Bohr magnetons per cell.

a b c (Å): 6.0102 6.0102 6.0102
angles (deg): 60.00 60.00 60.00
Element x y z (fractional)
Na1 0.2500 0.2500 0.2500
Na2 0.7500 0.7500 0.7500
In1 0.0000 0.0000 0.0000
Cu1 0.5000 0.5000 0.5000
F1 0.2494 0.2494 0.7506
F2 0.2494 0.7506 0.2494
F3 0.2494 0.7506 0.7506
F4 0.7506 0.2494 0.2494
F5 0.7506 0.2494 0.7506
F6 0.7506 0.7506 0.2494


DFT (PBE-GGA) results for crystalline SrNb2CuO7 at its relaxed geometry.

The calculation puts the total moment at 0.98 Bohr magnetons per cell.

a b c (Å): 9.6564 9.6564 9.6564
angles (deg): 156.26 156.26 33.82
Element x y z (fractional)
Sr1 0.0000 0.0000 0.0000
Nb1 0.3846 0.3846 0.0000
Nb2 0.6154 0.6154 0.0000
Cu1 0.7500 0.2500 0.5000
O1 0.0994 0.5994 0.5000
O2 0.2801 0.2801 0.0000
O3 0.4006 0.9006 0.5000
O4 0.5000 0.5000 0.0000
O5 0.6064 0.1064 0.5000
O6 0.7199 0.7199 0.0000
O7 0.8936 0.3936 0.5000


DFT (PBE-GGA) results for crystalline GaBiN2 at its relaxed geometry.

The calculation puts the total moment at 0.00 Bohr magnetons per cell. The polymorph energy (0 for the lowest one) is 18 meV per atom.

a b c (Å): 5.7374 10.7459 15.7964
angles (deg): 90.00 90.00 90.00
Element x y z (fractional)
Ga1 0.2189 0.2318 0.0641
Ga2 0.2189 0.2682 0.5641
Ga3 0.2380 0.0072 0.6845
Ga4 0.2380 0.4928 0.1845
Ga5 0.2620 0.5072 0.6845
Ga6 0.2620 0.9928 0.1845
Ga7 0.2811 0.7318 0.0641
Ga8 0.2811 0.7682 0.5641
Ga9 0.7189 0.2318 0.4359
Ga10 0.7189 0.2682 0.9359
Ga11 0.7380 0.0072 0.8155
Ga12 0.7380 0.4928 0.3155
Ga13 0.7620 0.5072 0.8155
Ga14 0.7620 0.9928 0.3155
Ga15 0.7811 0.7318 0.4359
Ga16 0.7811 0.7682 0.9359
Bi1 0.1740 0.2280 0.3019
Bi2 0.1740 0.2720 0.8019
Bi3 0.2467 0.5010 0.4424
Bi4 0.2467 0.9990 0.9424
Bi5 0.2533 0.0010 0.4424
Bi6 0.2533 0.4990 0.9424
Bi7 0.3260 0.7280 0.3019
Bi8 0.3260 0.7720 0.8019
Bi9 0.6740 0.2280 0.1981
Bi10 0.6740 0.2720 0.6981
Bi11 0.7467 0.5010 0.0576
Bi12 0.7467 0.9990 0.5576
Bi13 0.7533 0.0010 0.0576
Bi14 0.7533 0.4990 0.5576
Bi15 0.8260 0.7280 0.1981
Bi16 0.8260 0.7720 0.6981
N1 0.0174 0.5730 0.2643
N2 0.0174 0.9270 0.7643
N3 0.0856 0.6778 0.4840
N4 0.0856 0.8222 0.9840
N5 0.1389 0.5624 0.0732
N6 0.1389 0.9376 0.5732
N7 0.2489 0.6864 0.6760
N8 0.2489 0.8136 0.1760
N9 0.2511 0.1864 0.6760
N10 0.2511 0.3136 0.1760
N11 0.3611 0.0624 0.0732
N12 0.3611 0.4376 0.5732
N13 0.4144 0.1778 0.4840
N14 0.4144 0.3222 0.9840
N15 0.4826 0.0730 0.2643
N16 0.4826 0.4270 0.7643
N17 0.5174 0.5730 0.2357
N18 0.5174 0.9270 0.7357
N19 0.5856 0.6778 0.0160
N20 0.5856 0.8222 0.5160
N21 0.6389 0.5624 0.4268
N22 0.6389 0.9376 0.9268
N23 0.7489 0.6864 0.8240
N24 0.7489 0.8136 0.3240
N25 0.7511 0.1864 0.8240
N26 0.7511 0.3136 0.3240
N27 0.8611 0.0624 0.4268
N28 0.8611 0.4376 0.9268
N29 0.9144 0.1778 0.0160
N30 0.9144 0.3222 0.5160
N31 0.9826 0.0730 0.2357
N32 0.9826 0.4270 0.7357


DFT (PBE-GGA) results for crystalline CePd2Pt at its relaxed geometry.

a b c (Å): 4.1649 4.1649 4.1764
angles (deg): 90.00 90.00 90.00
Element x y z (fractional)
Ce1 0.0000 0.0000 0.0000
Pd1 0.0000 0.5000 0.5000
Pd2 0.5000 0.0000 0.5000
Pt1 0.5000 0.5000 0.0000


DFT (PBE-GGA) results for crystalline K2Si3PbO10 at its relaxed geometry.

The calculation puts the total moment at 8.00 Bohr magnetons per cell.

a b c (Å): 6.6793 11.8922 13.3079
angles (deg): 90.00 105.98 90.00
Element x y z (fractional)
K1 0.1809 0.1204 0.3805
K2 0.1809 0.3796 0.8805
K3 0.3056 0.0528 0.0901
K4 0.3056 0.4472 0.5901
K5 0.6944 0.5528 0.4099
K6 0.6944 0.9472 0.9099
K7 0.8191 0.6204 0.1195
K8 0.8191 0.8796 0.6195
Si1 0.0901 0.1865 0.6636
Si2 0.0901 0.3135 0.1636
Si3 0.2985 0.7362 0.0127
Si4 0.2985 0.7638 0.5127
Si5 0.3376 0.5294 0.1596
Si6 0.3376 0.9706 0.6596
Si7 0.6624 0.0294 0.3404
Si8 0.6624 0.4706 0.8404
Si9 0.7015 0.2362 0.4873
Si10 0.7015 0.2638 0.9873
Si11 0.9099 0.6865 0.8364
Si12 0.9099 0.8135 0.3364
Pb1 0.3777 0.7119 0.7741
Pb2 0.3777 0.7881 0.2741
Pb3 0.6223 0.2119 0.7259
Pb4 0.6223 0.2881 0.2259
O1 0.0459 0.6726 0.7517
O2 0.0459 0.8274 0.2517
O3 0.0507 0.7490 0.9442
O4 0.0507 0.7510 0.4442
O5 0.0939 0.0161 0.8609
O6 0.0939 0.4839 0.3609
O7 0.1461 0.0623 0.6216
O8 0.1461 0.4377 0.1216
O9 0.2805 0.6108 0.2469
O10 0.2805 0.8892 0.7469
O11 0.2978 0.2390 0.2150
O12 0.2978 0.2610 0.7150
O13 0.3363 0.6042 0.0548
O14 0.3363 0.8958 0.5548
O15 0.3404 0.6755 0.6094
O16 0.3404 0.8245 0.1094
O17 0.4360 0.5318 0.8002
O18 0.4360 0.9682 0.3002
O19 0.4566 0.7422 0.4405
O20 0.4566 0.7578 0.9405
O21 0.5434 0.2422 0.0595
O22 0.5434 0.2578 0.5595
O23 0.5640 0.0318 0.6998
O24 0.5640 0.4682 0.1998
O25 0.6596 0.1755 0.8906
O26 0.6596 0.3245 0.3906
O27 0.6637 0.1042 0.4452
O28 0.6637 0.3958 0.9452
O29 0.7022 0.7390 0.2850
O30 0.7022 0.7610 0.7850
O31 0.7195 0.1108 0.2531
O32 0.7195 0.3892 0.7531
O33 0.8539 0.5623 0.8784
O34 0.8539 0.9377 0.3784
O35 0.9061 0.5161 0.6391
O36 0.9061 0.9839 0.1391
O37 0.9493 0.2490 0.5558
O38 0.9493 0.2510 0.0558
O39 0.9541 0.1726 0.7483
O40 0.9541 0.3274 0.2483


Number 1: energy -7.23 eV per atom. Number 2: energy -3.26 eV per atom. Number 3: energy -7.39 eV per atom. Number 4: energy -5.45 eV per atom. Number 5: energy -7.93 eV per atom. Number 6: energy -5.44 eV per atom. Number 7: energy -4.26 eV per atom. Number 8: energy -7.77 eV per atom. Number 9: energy -5.70 eV per atom. Number 10: energy -6.49 eV per atom. Number 11: energy -6.46 eV per atom.